# VCuN2

A relaxed structure of VCuN2 (PBE, the Materials Project).

- electronic total energy (eV for the cell shown) = -111.289
- ΔE_f (eV per atom) = 0.328
- total moment (μB per cell) = 0.054

Unit cell a=4.6440 b=4.5721 c=9.2042 alpha=90.00 beta=90.00 gamma=90.00
Closest atoms and distances in Å follow each position.
Element x y z (fractional)
V (0.0000, 0.1692, 0.2500)  2 N 1.82
V (0.0000, 0.8308, 0.7500)  2 N 1.82
V (0.5000, 0.3308, 0.7500)  2 N 1.82
V (0.5000, 0.6692, 0.2500)  2 N 1.82
Cu (0.0000, 0.5000, 0.0000)  2 N 1.98
Cu (0.0000, 0.5000, 0.5000)  2 N 1.98
Cu (0.5000, 0.0000, 0.0000)  2 N 1.98
Cu (0.5000, 0.0000, 0.5000)  2 N 1.98
N (0.0000, 0.0832, 0.0567)  1 N 1.29
N (0.0000, 0.0832, 0.4433)  1 N 1.29
N (0.0000, 0.9168, 0.5567)  1 N 1.29
N (0.0000, 0.9168, 0.9433)  1 N 1.29
N (0.5000, 0.4168, 0.5567)  1 N 1.29
N (0.5000, 0.4168, 0.9433)  1 N 1.29
N (0.5000, 0.5832, 0.0567)  1 N 1.29
N (0.5000, 0.5832, 0.4433)  1 N 1.29